No. 1
Li6V3P8O29 (GGA+U, relaxed); relative energy among the computed polymorphs = 10 meV per atom; size of the total moment = 3.0 μB/f.u.; mass density = 2.59 g cm⁻³; raw total energy = -7.01 eV/atom; formation enthalpy at 0 K = -2.652 eV/atom
1.0
-9.831 -0.005 -0.039
-4.911 8.465 -0.016
-0.055 -0.005 -13.985
O Li P V
58 12 16 6
Cartesian
-12.069 5.225 -11.639 O
-13.671 6.565 -8.014 O
-10.649 6.863 -9.377 O
-4.173 0.636 -9.331 O
-5.822 6.656 -3.614 O
-9.114 7.680 -11.627 O
-3.466 2.753 -11.649 O
-4.922 2.808 -13.679 O
-1.057 1.735 -3.518 O
-8.382 5.688 -9.422 O
-7.809 0.104 -3.625 O
-12.737 6.339 -4.817 O
-4.268 4.136 -4.654 O
-10.572 7.665 -4.661 O
-6.051 6.551 -6.113 O
-11.315 3.964 -4.608 O
-9.101 6.911 -2.448 O
-7.012 6.314 -11.758 O
-2.899 3.149 -2.422 O
-8.803 1.879 -8.007 O
-9.841 5.575 -7.348 O
-8.485 3.979 -11.640 O
-5.640 4.085 -11.582 O
-5.804 5.621 -9.225 O
-6.437 2.768 -4.610 O
-8.869 1.706 -10.538 O
-6.969 0.694 -9.232 O
-5.690 1.598 -11.557 O
-10.528 4.314 -9.417 O
-4.026 5.590 -2.238 O
-2.141 2.173 -9.201 O
-10.877 1.948 -6.117 O
-7.580 0.000 -6.122 O
-10.753 2.844 -11.739 O
-7.171 8.449 -13.090 O
-7.832 7.715 -4.752 O
-9.822 5.685 -0.355 O
-6.238 4.440 -2.381 O
-9.005 2.871 -4.757 O
-4.993 2.803 -6.674 O
-9.144 4.370 -2.409 O
-2.901 0.653 -2.198 O
-2.039 0.098 -10.594 O
-11.319 5.695 -2.409 O
-13.589 6.669 -13.078 O
-10.961 1.979 -1.023 O
-3.963 6.732 -10.509 O
-8.897 1.895 -13.083 O
-7.166 3.229 -9.399 O
-5.701 0.822 -2.338 O
-11.799 7.737 -11.693 O
-7.803 2.183 -2.220 O
-4.243 1.597 -4.501 O
-5.997 6.688 -1.099 O
-7.613 5.206 -4.629 O
-6.946 8.393 -8.110 O
-3.533 4.487 -9.391 O
-12.718 8.381 -1.136 O
-9.151 2.800 -0.816 Li
-2.124 1.953 -13.077 Li
-11.957 7.612 -7.949 Li
-7.684 7.602 -0.806 Li
-4.272 5.637 -6.215 Li
-0.384 0.095 -7.063 Li
-14.533 8.250 -13.844 Li
-7.121 6.459 -7.926 Li
-4.975 2.784 -1.541 Li
-7.742 1.996 -6.234 Li
-10.563 2.848 -7.919 Li
-12.590 6.472 -0.821 Li
-9.848 5.623 -8.843 P
-5.567 5.839 -2.247 P
-2.644 0.705 -9.228 P
-6.871 6.547 -4.837 P
-4.965 2.824 -5.191 P
-12.087 7.750 -4.869 P
-4.286 5.823 -9.222 P
-9.208 2.638 -11.815 P
-7.245 0.732 -2.242 P
-7.917 1.906 -9.246 P
-10.525 2.639 -4.839 P
-2.002 1.901 -2.213 P
-4.939 2.810 -12.180 P
-9.861 5.665 -1.843 P
-12.788 6.572 -11.809 P
-7.597 7.718 -11.824 P
-12.625 4.793 -3.577 V
-2.183 3.688 -10.474 V
-5.566 0.009 -10.523 V
-7.711 3.710 -3.501 V
-7.073 4.760 -10.585 V
-4.299 -0.002 -3.551 V

=====

No. 2
Li2VOF3 (GGA+U, relaxed); relative energy among the computed polymorphs = 0 meV per atom; size of the total moment = 2.0 μB/f.u.; mass density = 2.96 g cm⁻³; raw total energy = -5.82 eV/atom; formation enthalpy at 0 K = -2.988 eV/atom
1.0
6.021 0.000 0.000
0.000 6.021 0.000
0.000 0.000 8.534
F Li V O
12 8 4 4
Cartesian
4.529 3.078 4.241 F
2.943 4.529 6.374 F
5.943 4.500 2.252 F
4.500 0.078 0.118 F
1.521 5.943 4.385 F
3.078 1.492 2.107 F
4.544 2.852 8.490 F
3.169 4.544 2.089 F
0.078 1.521 6.519 F
1.492 2.943 8.508 F
2.852 1.476 6.356 F
1.476 3.169 4.223 F
4.443 2.952 2.168 Li
1.549 4.586 1.006 Li
1.435 1.549 3.139 Li
4.472 1.435 5.272 Li
4.586 4.472 7.406 Li
1.578 3.069 6.434 Li
3.069 4.443 4.301 Li
2.952 1.578 0.034 Li
4.516 0.037 2.252 V
0.037 1.505 0.119 V
5.984 4.516 4.386 V
1.505 5.984 6.519 V
0.163 4.595 6.260 O
1.426 0.163 8.393 O
5.858 1.426 1.993 O
4.595 5.858 4.126 O

=====

No. 3
LiFe2OF5 (GGA+U, relaxed); relative energy among the computed polymorphs = 34 meV per atom; size of the total moment = 0.0 μB/f.u.; mass density = 3.61 g cm⁻³; raw total energy = -5.41 eV/atom; formation enthalpy at 0 K = -2.533 eV/atom
1.0
4.173 0.728 -2.037
3.487 -6.263 5.141
-3.431 -2.151 -7.839
F Fe O Li
15 6 3 3
Cartesian
2.203 -1.871 -3.808 F
2.011 -5.834 -0.912 F
5.874 -5.200 2.154 F
2.310 -4.609 -4.691 F
0.749 -3.603 -2.556 F
1.967 -3.101 -0.030 F
4.571 -5.991 -0.580 F
3.571 -1.096 -1.248 F
-1.648 -2.484 -6.888 F
-0.452 -1.716 -4.538 F
3.463 -3.733 -2.025 F
1.169 -2.539 -6.398 F
0.689 -6.633 -3.397 F
3.127 -5.125 1.618 F
4.694 -3.373 0.538 F
4.153 0.714 -2.023 Fe
3.321 -4.513 -0.259 Fe
3.260 -7.374 -1.476 Fe
1.947 -2.102 -1.827 Fe
0.990 -6.035 -5.255 Fe
0.821 -3.225 -4.525 Fe
-0.259 -4.636 -5.113 O
3.623 -6.758 -3.156 O
0.572 -0.923 -1.573 O
-2.083 -4.413 -5.926 Li
4.154 -4.723 -3.740 Li
-1.153 -0.816 -2.783 Li

=====

No. 4
CaFe6O4F8 (GGA+U, relaxed); relative energy among the computed polymorphs = 15 meV per atom; size of the total moment = 26.0 μB/f.u.; mass density = 3.99 g cm⁻³; raw total energy = -5.89 eV/atom; formation enthalpy at 0 K = -2.317 eV/atom
1.0
5.402 0.534 7.007
-1.231 -4.051 4.028
4.384 -4.048 0.501
Fe O F Ca
6 4 8 1
Cartesian
-0.796 -4.100 4.248 Fe
2.303 -2.909 2.978 Fe
4.187 -2.246 6.243 Fe
3.865 -5.299 5.591 Fe
6.542 -4.306 8.080 Fe
2.630 0.252 3.414 Fe
2.871 -3.802 1.345 O
3.309 -1.268 2.496 O
0.861 -4.245 3.068 O
6.974 -6.316 7.944 O
3.306 -3.395 4.597 F
4.544 -7.241 6.438 F
5.878 -2.551 5.105 F
4.828 -4.167 7.073 F
3.497 -0.301 5.319 F
5.833 -1.580 7.547 F
3.313 -6.229 3.835 F
5.674 -5.352 4.508 F
6.590 -6.039 10.428 Ca

=====

No. 5
SrV5NiO11 (GGA+U, relaxed); size of the total moment = 9.0 μB/f.u.; mass density = 4.67 g cm⁻³; raw total energy = -7.32 eV/atom; formation enthalpy at 0 K = -2.388 eV/atom
1.0
-4.492 -2.742 2.486
3.941 -3.027 -3.031
7.541 -1.818 11.621
O V Sr Ni
22 10 2 2
Cartesian
2.413 -4.148 10.384 O
7.288 -5.968 9.848 O
4.577 -3.439 0.692 O
4.602 -5.829 8.701 O
-0.562 -4.379 0.968 O
4.908 -2.625 9.003 O
9.438 -4.656 8.658 O
2.315 -2.249 5.257 O
0.166 -3.561 6.446 O
5.302 -4.521 11.408 O
-2.448 -2.931 2.418 O
-0.299 -1.619 1.228 O
6.824 -4.026 4.630 O
2.081 -4.962 2.073 O
2.647 -3.881 7.317 O
4.674 -5.338 5.819 O
2.052 -5.009 4.996 O
1.688 -3.066 -0.332 O
7.552 -3.208 10.108 O
4.938 -2.578 6.080 O
4.343 -3.706 3.759 O
2.387 -1.758 2.375 O
5.741 -2.422 4.295 V
1.971 -1.513 -1.515 V
2.637 -0.636 4.064 V
4.904 -1.182 7.557 V
1.524 -2.280 7.053 V
6.407 -1.545 9.874 V
-2.246 -1.371 1.243 V
-0.275 -2.884 -0.273 V
3.495 -3.793 5.538 V
1.133 -0.273 1.747 V
6.786 -4.295 7.524 Sr
0.204 -3.292 3.552 Sr
3.015 -3.386 1.713 Ni
3.974 -4.201 9.363 Ni

=====

No. 6
ScMn2O5 (GGA+U, relaxed); relative energy among the computed polymorphs = 0 meV per atom; size of the total moment = 7.0 μB/f.u.; mass density = 4.62 g cm⁻³; raw total energy = -7.86 eV/atom; formation enthalpy at 0 K = -2.535 eV/atom
1.0
-5.027 -2.644 -0.678
3.177 -6.286 0.953
-1.386 0.539 8.174
Mn O Sc
8 20 4
Cartesian
0.329 -3.805 0.307 Mn
-4.461 -1.712 3.579 Mn
0.175 -6.982 1.797 Mn
-1.952 -0.393 3.917 Mn
-3.411 -1.408 6.652 Mn
-1.559 -4.654 5.572 Mn
-2.179 -5.124 -0.032 Mn
-1.677 -3.737 2.877 Mn
-2.982 -5.504 6.571 O
-3.718 -1.955 -0.501 O
-1.765 -1.000 5.720 O
-4.446 -2.410 5.359 O
-1.310 -0.689 -0.177 O
-0.564 -5.352 0.916 O
1.209 -5.981 3.090 O
-2.822 -4.829 4.062 O
-0.414 -3.562 4.387 O
-2.935 -4.296 1.517 O
-0.301 -4.094 6.932 O
-0.255 -2.887 1.878 O
-2.673 -3.039 7.533 O
-0.607 -6.367 5.198 O
-0.235 -1.592 7.947 O
2.026 -4.155 1.180 O
-2.629 -2.024 3.251 O
1.862 -4.932 5.426 O
-0.071 -0.814 3.701 O
-1.471 -7.391 2.729 O
0.218 -1.901 5.791 Sc
1.573 -3.846 3.336 Sc
1.576 -4.953 7.632 Sc
0.216 -0.793 1.495 Sc

=====

No. 7
Ca8Mn6Cr2O21 (GGA+U, relaxed); relative energy among the computed polymorphs = 0 meV per atom; size of the total moment = 28.0 μB/f.u.; mass density = 3.91 g cm⁻³; raw total energy = -7.03 eV/atom; formation enthalpy at 0 K = -2.546 eV/atom
1.0
-8.052 0.245 -7.420
4.656 -13.735 -5.294
-6.517 -5.010 7.244
O Ca Mn Cr
84 32 24 8
Cartesian
-4.382 -11.487 2.339 O
-5.236 -13.350 -4.141 O
-3.315 -7.071 -6.343 O
-6.680 -11.435 0.933 O
-4.238 -11.530 -6.127 O
-5.731 -1.751 -5.925 O
-2.366 -11.372 -4.059 O
-0.948 -4.608 -3.843 O
-1.544 -7.738 -4.135 O
-6.639 -11.122 -4.900 O
-4.907 -8.903 -4.802 O
-10.469 -4.527 1.302 O
0.801 -9.176 -4.780 O
-3.360 -8.597 -8.544 O
-6.449 -11.846 -7.550 O
-5.502 -7.470 3.315 O
-6.777 -4.414 5.071 O
-7.135 -3.269 2.201 O
-3.850 -0.855 -1.436 O
-5.154 -15.764 -2.800 O
-1.973 -10.766 -7.617 O
-10.550 -9.818 -0.544 O
-1.230 -14.431 -3.369 O
-8.183 -16.660 -3.121 O
-5.677 -12.056 -1.686 O
-12.291 -7.627 -1.372 O
-5.730 -14.431 -0.411 O
-7.420 -14.124 -2.480 O
-8.347 -11.248 -1.316 O
-7.334 -8.881 -6.577 O
-3.463 -1.972 1.433 O
-7.265 -8.897 -0.029 O
-6.572 -9.597 -2.617 O
-4.636 -4.499 1.459 O
-12.895 -4.471 -0.157 O
-4.734 -16.949 0.346 O
-0.212 -16.473 -1.514 O
-7.882 -6.720 2.327 O
-7.239 -7.318 -4.170 O
-0.179 -6.657 0.015 O
-1.178 -13.604 -0.428 O
-1.682 -13.304 -6.064 O
-1.169 -8.739 -1.256 O
-6.569 -4.699 -3.565 O
-5.610 -7.157 -7.842 O
-4.623 -4.190 -1.322 O
-6.450 -16.459 -6.774 O
-2.613 -9.576 1.240 O
-2.404 -11.127 -1.219 O
-4.301 -11.091 -9.471 O
-2.153 -4.943 -0.355 O
-1.332 -1.997 -2.140 O
-7.508 -13.619 -5.706 O
-3.169 -13.962 -10.420 O
-9.629 -1.979 -3.810 O
-7.346 -6.286 -1.425 O
0.649 -7.056 -2.584 O
-4.104 -3.905 -5.079 O
-9.005 -4.219 -2.354 O
-9.032 -5.147 -5.025 O
-3.936 -16.421 -5.432 O
-7.238 -1.909 -2.329 O
-10.652 -11.399 -2.865 O
-0.654 -13.896 -9.024 O
-9.829 -6.889 -3.086 O
-8.854 -2.605 -6.518 O
-4.964 -14.128 -6.799 O
-3.692 -7.338 -0.434 O
0.011 -11.922 -2.701 O
-1.164 -15.951 1.086 O
-12.137 -5.137 -2.880 O
-9.842 -7.211 0.097 O
-3.962 -6.557 -3.313 O
-6.573 -4.337 -6.717 O
-3.589 -9.222 3.679 O
-9.701 -14.361 -4.016 O
-4.776 -9.783 -0.575 O
-3.467 -13.667 -2.044 O
1.482 -9.683 -1.830 O
-8.879 -9.626 -4.197 O
2.135 -13.451 -2.527 O
3.038 -13.891 -5.110 O
-3.286 -14.328 1.191 O
-9.739 -11.933 -5.454 O
-5.581 -7.674 -2.004 Ca
-0.505 -11.136 0.313 Ca
-10.221 -6.596 2.439 Ca
-4.664 -11.073 -3.555 Ca
-3.693 -13.031 -8.376 Ca
-6.784 -15.486 -4.636 Ca
-5.829 -6.245 -5.717 Ca
-9.199 -7.584 -5.554 Ca
-5.072 -9.622 -7.247 Ca
-7.736 -13.293 -0.185 Ca
-7.389 -2.714 -4.581 Ca
0.560 -13.506 -4.445 Ca
-2.835 -2.779 -0.572 Ca
-6.932 -4.004 -1.239 Ca
-4.014 -12.303 0.058 Ca
-10.632 -5.216 -0.979 Ca
-8.260 -12.163 -3.570 Ca
-8.980 -8.840 -2.027 Ca
-10.119 -16.865 -4.525 Ca
-2.515 -15.636 -0.927 Ca
-1.666 -6.563 -1.993 Ca
-4.998 -9.303 1.688 Ca
-7.567 -1.298 -7.937 Ca
-8.726 -10.113 1.310 Ca
-3.709 -13.507 3.747 Ca
-3.245 -14.340 -4.566 Ca
-6.003 -5.099 -9.139 Ca
-10.836 -3.816 -4.322 Ca
-6.072 -5.195 3.075 Ca
-7.055 -14.296 -8.132 Ca
-0.713 -9.840 -3.191 Ca
-6.571 -16.645 -1.252 Ca
-5.437 -13.884 -2.269 Mn
-10.623 -10.394 -4.565 Mn
-2.927 -9.306 -0.701 Mn
-4.926 -3.263 -6.896 Mn
-12.476 -4.829 1.710 Mn
0.680 -8.137 -0.843 Mn
-9.427 -13.832 -5.947 Mn
-2.603 -10.059 -9.534 Mn
-8.180 -5.758 -3.285 Mn
-6.243 -11.380 -9.489 Mn
-6.543 -10.515 -0.914 Mn
-3.709 -6.726 -8.235 Mn
-1.004 -14.612 -7.267 Mn
-4.265 -17.202 -3.681 Mn
-5.883 -12.596 -5.880 Mn
-4.941 -15.225 1.144 Mn
-3.368 -7.841 -4.584 Mn
0.296 -7.056 -4.525 Mn
-6.930 -9.236 -4.567 Mn
-4.605 -16.017 -7.222 Mn
-7.872 -7.038 0.314 Mn
-2.396 -11.483 -5.911 Mn
-4.580 -4.631 -3.293 Mn
-1.755 -12.758 -2.238 Mn
-5.254 -2.543 1.937 Cr
-3.935 -5.493 -0.024 Cr
2.621 -13.698 -6.947 Cr
-8.510 -4.563 -6.755 Cr
-8.290 -17.212 -7.202 Cr
-5.019 -14.728 -10.837 Cr
-7.232 -7.904 3.630 Cr
-11.754 -7.105 -3.119 Cr

=====

No. 8
MgVFeP4O14 (GGA+U, relaxed); relative energy among the computed polymorphs = 2 meV per atom; size of the total moment = 7.0 μB/f.u.; mass density = 2.94 g cm⁻³; raw total energy = -7.23 eV/atom; formation enthalpy at 0 K = -2.639 eV/atom
1.0
4.919 0.041 0.017
0.049 8.367 0.024
-2.273 0.031 6.561
O V P Fe Mg
14 1 4 1 1
Cartesian
-1.676 2.730 5.669 O
0.115 3.013 3.357 O
3.989 1.590 0.739 O
1.797 1.383 2.418 O
4.444 7.104 1.170 O
0.559 5.859 4.069 O
-1.453 5.857 5.889 O
-0.401 0.499 3.354 O
2.771 4.637 3.593 O
0.884 3.670 5.992 O
1.519 5.613 1.718 O
1.284 1.355 4.907 O
1.870 7.774 0.341 O
2.617 7.181 3.379 O
-0.634 4.181 4.817 V
0.874 6.613 0.648 P
1.794 2.444 6.023 P
0.688 1.620 3.422 P
1.891 5.816 3.272 P
3.167 0.195 1.756 Fe
-0.649 7.374 4.665 Mg

=====

Q: Which value of mass density does entry 4 give?
A: 3.99 g cm⁻³

=====

Q: Look up the mass density of the fifth one.
A: 4.67 g cm⁻³

=====

Please write out number 4 again, unchanged.
CaFe6O4F8 (GGA+U, relaxed); relative energy among the computed polymorphs = 15 meV per atom; size of the total moment = 26.0 μB/f.u.; mass density = 3.99 g cm⁻³; raw total energy = -5.89 eV/atom; formation enthalpy at 0 K = -2.317 eV/atom
1.0
5.402 0.534 7.007
-1.231 -4.051 4.028
4.384 -4.048 0.501
Fe O F Ca
6 4 8 1
Cartesian
-0.796 -4.100 4.248 Fe
2.303 -2.909 2.978 Fe
4.187 -2.246 6.243 Fe
3.865 -5.299 5.591 Fe
6.542 -4.306 8.080 Fe
2.630 0.252 3.414 Fe
2.871 -3.802 1.345 O
3.309 -1.268 2.496 O
0.861 -4.245 3.068 O
6.974 -6.316 7.944 O
3.306 -3.395 4.597 F
4.544 -7.241 6.438 F
5.878 -2.551 5.105 F
4.828 -4.167 7.073 F
3.497 -0.301 5.319 F
5.833 -1.580 7.547 F
3.313 -6.229 3.835 F
5.674 -5.352 4.508 F
6.590 -6.039 10.428 Ca

=====

Please write out number 5 again, unchanged.
SrV5NiO11 (GGA+U, relaxed); size of the total moment = 9.0 μB/f.u.; mass density = 4.67 g cm⁻³; raw total energy = -7.32 eV/atom; formation enthalpy at 0 K = -2.388 eV/atom
1.0
-4.492 -2.742 2.486
3.941 -3.027 -3.031
7.541 -1.818 11.621
O V Sr Ni
22 10 2 2
Cartesian
2.413 -4.148 10.384 O
7.288 -5.968 9.848 O
4.577 -3.439 0.692 O
4.602 -5.829 8.701 O
-0.562 -4.379 0.968 O
4.908 -2.625 9.003 O
9.438 -4.656 8.658 O
2.315 -2.249 5.257 O
0.166 -3.561 6.446 O
5.302 -4.521 11.408 O
-2.448 -2.931 2.418 O
-0.299 -1.619 1.228 O
6.824 -4.026 4.630 O
2.081 -4.962 2.073 O
2.647 -3.881 7.317 O
4.674 -5.338 5.819 O
2.052 -5.009 4.996 O
1.688 -3.066 -0.332 O
7.552 -3.208 10.108 O
4.938 -2.578 6.080 O
4.343 -3.706 3.759 O
2.387 -1.758 2.375 O
5.741 -2.422 4.295 V
1.971 -1.513 -1.515 V
2.637 -0.636 4.064 V
4.904 -1.182 7.557 V
1.524 -2.280 7.053 V
6.407 -1.545 9.874 V
-2.246 -1.371 1.243 V
-0.275 -2.884 -0.273 V
3.495 -3.793 5.538 V
1.133 -0.273 1.747 V
6.786 -4.295 7.524 Sr
0.204 -3.292 3.552 Sr
3.015 -3.386 1.713 Ni
3.974 -4.201 9.363 Ni